Record 1
Computed, not measured: Li2FePO5 after structural relaxation at the PBE+U level of DFT.

Cell and atoms, written as POSCAR:
```
Li2FePO5
1.0
6.430 0.000 4.495
0.000 6.430 4.495
-6.430 0.000 4.495
P O Li Fe
4 20 8 4
Direct
0.000 0.500 0.500
0.500 0.000 0.500
0.000 0.000 0.000
0.500 0.500 0.000
0.494 0.306 0.994
0.700 0.806 0.700
0.994 0.306 0.494
0.800 0.694 0.300
0.506 0.500 0.200
0.006 0.500 0.700
0.506 0.194 0.506
0.200 0.500 0.506
0.994 0.000 0.800
0.300 0.694 0.800
0.700 0.500 0.006
0.300 0.000 0.494
0.916 0.000 0.416
0.084 0.500 0.084
0.800 0.000 0.994
0.416 0.000 0.916
0.006 0.194 0.006
0.200 0.806 0.200
0.494 0.000 0.300
0.584 0.500 0.584
0.000 0.250 0.250
0.750 0.750 0.000
0.000 0.750 0.750
0.750 0.250 0.500
0.250 0.250 0.000
0.500 0.250 0.750
0.500 0.750 0.250
0.250 0.750 0.500
0.715 0.000 0.215
0.215 0.000 0.715
0.285 0.500 0.285
0.785 0.500 0.785
```

Properties
**Energy**: -233.39 eV per cell
**Energy of formation from the pure elements**: -2084 kJ/mol of formula units
**M_tot**: 0.0 μB/cell
**Offset from the most stable computed form**: 12 meV per atom

Record 2
Computed, not measured: LiFePO4 after structural relaxation at the PBE+U level of DFT.

Cell and atoms, written as POSCAR:
```
LiFePO4
1.0
-1.681 5.345 -2.879
-9.880 -0.200 -1.589
0.252 1.946 5.737
O Li Fe P
16 4 4 4
Direct
0.419 0.630 0.745
0.926 0.121 0.240
0.185 0.407 0.357
0.074 0.879 0.760
0.246 0.114 0.556
0.754 0.886 0.444
0.741 0.629 0.052
0.781 0.116 0.704
0.259 0.371 0.948
0.815 0.593 0.643
0.219 0.884 0.296
0.732 0.399 0.789
0.332 0.068 0.147
0.668 0.932 0.853
0.581 0.370 0.255
0.268 0.601 0.211
0.672 0.987 0.175
0.328 0.013 0.825
0.769 0.260 0.000
0.231 0.740 0.000
0.239 0.742 0.501
0.231 0.322 0.627
0.769 0.678 0.373
0.761 0.258 0.499
0.814 0.954 0.695
0.186 0.046 0.305
0.677 0.564 0.808
0.323 0.436 0.192
```

Properties
**Energy**: -189.38 eV per cell
**Energy of formation from the pure elements**: -1618 kJ/mol of formula units
**Space group**: P-1 (2)
**M_tot**: 16.0 μB/cell
**Offset from the most stable computed form**: 85 meV per atom

Record 3
Computed, not measured: Li7Fe4P6O24 after structural relaxation at the PBE+U level of DFT.

Cell and atoms, written as POSCAR:
```
Li7Fe4P6O24
1.0
0.426 5.502 -6.726
7.206 -2.280 4.198
3.075 -8.308 -1.027
Li O Fe P
7 24 4 6
Direct
0.272 0.387 0.172
0.721 0.603 0.844
0.215 0.991 0.566
0.742 0.036 0.397
0.155 0.304 0.661
0.402 0.751 0.866
0.867 0.704 0.344
0.857 0.506 0.603
0.199 0.514 0.729
0.569 0.792 0.753
0.382 0.783 0.062
0.622 0.207 0.924
0.740 0.122 0.565
0.521 0.545 0.302
0.879 0.256 0.246
0.826 0.037 0.904
0.736 0.884 0.232
0.142 0.492 0.399
0.033 0.404 0.945
0.478 0.450 0.700
0.894 0.888 0.761
0.808 0.486 0.285
0.188 0.971 0.098
0.264 0.110 0.761
0.474 0.209 0.598
0.251 0.872 0.435
0.128 0.747 0.753
0.963 0.602 0.060
0.430 0.210 0.258
0.103 0.108 0.241
0.520 0.795 0.387
0.357 0.669 0.541
0.641 0.334 0.447
0.856 0.155 0.062
0.141 0.849 0.939
0.465 0.247 0.748
0.759 0.964 0.749
0.949 0.460 0.247
0.537 0.751 0.247
0.047 0.537 0.755
0.245 0.039 0.253
```

Properties
**Energy**: -274.72 eV per cell
**Energy of formation from the pure elements**: -9818 kJ/mol of formula units
**Space group**: P1 (1)
**M_tot**: 19.0 μB/cell
**Offset from the most stable computed form**: 21 meV per atom

Record 4
Computed, not measured: Li2FeP2O7 after structural relaxation at the PBE+U level of DFT.

Cell and atoms, written as POSCAR:
```
Li2FeP2O7
1.0
-1.701 -1.655 4.447
-0.323 -5.058 0.853
13.157 -0.883 1.875
Li O Fe P
4 14 2 4
Direct
0.208 0.872 0.408
0.669 0.627 0.092
0.331 0.373 0.908
0.792 0.128 0.592
0.447 0.749 0.750
0.438 0.084 0.603
0.377 0.735 0.927
0.669 0.991 0.880
0.562 0.916 0.397
0.819 0.233 0.426
0.553 0.251 0.250
0.776 0.510 0.619
0.078 0.584 0.103
0.224 0.490 0.381
0.181 0.767 0.574
0.623 0.265 0.073
0.331 0.009 0.120
0.922 0.416 0.897
0.000 0.500 0.500
0.000 0.000 0.000
0.618 0.721 0.868
0.467 0.780 0.632
0.533 0.221 0.368
0.382 0.279 0.132
```

Properties
**Energy**: -162.37 eV per cell
**Energy of formation from the pure elements**: -2943 kJ/mol of formula units
**Space group**: P-1 (2)
**M_tot**: 8.0 μB/cell
**Offset from the most stable computed form**: 29 meV per atom

Record 5
Computed, not measured: LiFePO4 after structural relaxation at the PBE+U level of DFT.

Cell and atoms, written as POSCAR:
```
LiFePO4
1.0
-1.318 3.203 -6.709
-2.709 -7.454 -3.026
-16.653 -4.041 1.343
O Fe P Li
48 12 12 12
Direct
0.693 0.984 0.466
0.242 0.413 0.359
0.362 0.675 0.377
0.996 0.756 0.325
0.638 0.325 0.623
0.006 0.932 0.610
0.307 0.016 0.534
0.634 0.251 0.958
0.237 0.725 0.184
0.997 0.640 0.039
0.777 0.635 0.792
0.709 0.920 0.306
0.366 0.749 0.042
0.134 0.749 0.542
0.504 0.756 0.825
0.291 0.080 0.694
0.803 0.584 0.494
0.496 0.244 0.175
0.193 0.016 0.034
0.258 0.413 0.859
0.497 0.360 0.461
0.994 0.068 0.390
0.004 0.244 0.675
0.758 0.587 0.641
0.140 0.070 0.830
0.737 0.275 0.316
0.003 0.360 0.961
0.862 0.325 0.123
0.277 0.365 0.708
0.197 0.416 0.506
0.640 0.930 0.670
0.223 0.365 0.208
0.697 0.584 0.994
0.138 0.675 0.877
0.263 0.725 0.684
0.807 0.984 0.966
0.866 0.251 0.458
0.742 0.587 0.141
0.723 0.635 0.292
0.860 0.930 0.170
0.360 0.070 0.330
0.494 0.932 0.110
0.791 0.920 0.806
0.209 0.080 0.194
0.506 0.068 0.890
0.503 0.640 0.539
0.303 0.416 0.006
0.763 0.275 0.816
0.484 0.206 0.066
0.974 0.848 0.909
0.577 0.493 0.247
0.923 0.493 0.747
0.016 0.206 0.566
0.026 0.152 0.091
0.077 0.507 0.253
0.474 0.152 0.591
0.516 0.794 0.934
0.526 0.848 0.409
0.984 0.794 0.434
0.423 0.507 0.753
0.176 0.471 0.925
0.324 0.471 0.425
0.180 0.857 0.591
0.681 0.814 0.771
0.320 0.857 0.091
0.820 0.143 0.409
0.819 0.814 0.271
0.676 0.529 0.575
0.181 0.186 0.729
0.824 0.529 0.075
0.319 0.186 0.229
0.680 0.143 0.909
0.772 0.180 0.731
0.272 0.820 0.769
0.731 0.466 0.423
0.239 0.143 0.407
0.728 0.180 0.231
0.739 0.857 0.093
0.261 0.143 0.907
0.231 0.534 0.077
0.269 0.534 0.577
0.228 0.820 0.269
0.769 0.466 0.923
0.761 0.857 0.593
```

Properties
**Energy**: -568.82 eV per cell
**Energy of formation from the pure elements**: -1623 kJ/mol of formula units
**Space group**: P2_1/c (14)
**M_tot**: 48.0 μB/cell
**Offset from the most stable computed form**: 77 meV per atom

Record 6
Computed, not measured: LiFe2P3O12 after structural relaxation at the PBE+U level of DFT.

Cell and atoms, written as POSCAR:
```
LiFe2P3O12
1.0
-3.581 -6.852 -3.966
0.341 -0.703 -8.654
5.222 -6.090 -3.619
O Li P Fe
24 2 6 4
Direct
0.485 0.763 0.102
0.019 0.121 0.560
0.121 0.019 0.060
0.878 0.998 0.915
0.053 0.776 0.747
0.715 0.589 0.263
0.511 0.242 0.900
0.936 0.546 0.725
0.776 0.053 0.247
0.279 0.629 0.059
0.942 0.233 0.236
0.629 0.279 0.559
0.277 0.404 0.745
0.998 0.878 0.415
0.728 0.368 0.944
0.404 0.277 0.245
0.368 0.728 0.444
0.242 0.511 0.400
0.589 0.715 0.763
0.458 0.062 0.779
0.062 0.458 0.279
0.546 0.936 0.225
0.233 0.942 0.736
0.763 0.485 0.602
0.034 0.361 0.950
0.361 0.034 0.450
0.961 0.042 0.242
0.472 0.247 0.745
0.527 0.754 0.257
0.754 0.527 0.757
0.042 0.961 0.742
0.247 0.472 0.245
0.853 0.353 0.426
0.147 0.653 0.564
0.653 0.147 0.064
0.353 0.853 0.926
```

Properties
**Energy**: -244.07 eV per cell
**Energy of formation from the pure elements**: -3891 kJ/mol of formula units
**Space group**: Cc (9)
**M_tot**: 16.0 μB/cell
**Offset from the most stable computed form**: 10 meV per atom

Record 7
Computed, not measured: LiFeP2O7 after structural relaxation at the PBE+U level of DFT.

Cell and atoms, written as POSCAR:
```
LiFeP2O7
1.0
-6.877 3.196 -2.035
0.531 -3.056 7.213
2.903 9.415 4.040
O Fe P Li
28 4 8 4
Direct
0.784 0.579 0.527
0.187 0.386 0.236
0.200 0.403 0.735
0.250 0.884 0.880
0.765 0.564 0.029
0.216 0.421 0.473
0.436 0.235 0.471
0.903 0.891 0.121
0.579 0.784 0.027
0.109 0.097 0.379
0.813 0.614 0.764
0.386 0.187 0.736
0.750 0.116 0.120
0.116 0.750 0.620
0.564 0.765 0.529
0.708 0.100 0.623
0.891 0.903 0.621
0.597 0.800 0.765
0.403 0.200 0.235
0.884 0.250 0.380
0.100 0.708 0.123
0.235 0.436 0.971
0.421 0.216 0.973
0.292 0.900 0.377
0.614 0.813 0.264
0.900 0.292 0.877
0.097 0.109 0.879
0.800 0.597 0.265
0.689 0.688 0.391
0.312 0.311 0.109
0.688 0.689 0.891
0.311 0.312 0.609
0.320 0.099 0.364
0.099 0.320 0.864
0.680 0.901 0.636
0.297 0.089 0.866
0.089 0.297 0.366
0.911 0.703 0.634
0.703 0.911 0.134
0.901 0.680 0.136
0.281 0.716 0.500
0.284 0.719 0.000
0.719 0.284 0.500
0.716 0.281 0.000
```

Properties
**Energy**: -298.47 eV per cell
**Energy of formation from the pure elements**: -2493 kJ/mol of formula units
**Space group**: C2/c (15)
**M_tot**: 20.0 μB/cell
**Offset from the most stable computed form**: 177 meV per atom

Record 8
Computed, not measured: Li4FeP2O9 after structural relaxation at the PBE+U level of DFT.

Cell and atoms, written as POSCAR:
```
Li4FeP2O9
1.0
3.394 7.214 0.000
-3.394 7.214 0.000
0.000 0.094 7.109
O Li Fe P
18 8 2 4
Direct
0.347 0.347 0.436
0.496 0.496 0.762
0.763 0.763 0.103
0.439 0.819 0.870
0.127 0.127 0.508
0.181 0.561 0.130
0.969 0.969 0.809
0.504 0.504 0.238
0.629 0.012 0.763
0.561 0.181 0.130
0.988 0.371 0.237
0.031 0.031 0.191
0.371 0.988 0.237
0.819 0.439 0.870
0.012 0.629 0.763
0.237 0.237 0.897
0.873 0.873 0.492
0.653 0.653 0.564
0.754 0.246 0.000
0.000 0.500 0.500
0.371 0.371 0.704
0.896 0.896 0.236
0.104 0.104 0.764
0.629 0.629 0.296
0.500 0.000 0.500
0.246 0.754 0.000
0.000 0.500 0.000
0.500 0.000 0.000
0.124 0.124 0.294
0.602 0.602 0.754
0.876 0.876 0.706
0.398 0.398 0.246
```

Properties
**Energy**: -204.52 eV per cell
**Energy of formation from the pure elements**: -3786 kJ/mol of formula units
**Space group**: C2/m (12)
**M_tot**: 8.0 μB/cell
**Offset from the most stable computed form**: 0 meV per atom

Record 9
Computed, not measured: LiFeP2O7 after structural relaxation at the PBE+U level of DFT.

Cell and atoms, written as POSCAR:
```
LiFeP2O7
1.0
-4.884 4.920 -4.391
3.601 -1.425 -5.602
-3.946 -7.546 -4.066
O Li P Fe
28 4 8 4
Direct
0.733 0.516 0.610
0.422 0.527 0.634
0.063 0.855 0.845
0.412 0.606 0.134
0.767 0.516 0.110
0.233 0.484 0.890
0.922 0.473 0.866
0.672 0.071 0.391
0.084 0.911 0.376
0.563 0.145 0.655
0.078 0.527 0.134
0.895 0.770 0.217
0.328 0.929 0.609
0.267 0.484 0.390
0.912 0.394 0.366
0.172 0.929 0.109
0.395 0.230 0.283
0.584 0.089 0.124
0.437 0.855 0.345
0.605 0.770 0.717
0.088 0.606 0.634
0.578 0.473 0.366
0.828 0.071 0.891
0.937 0.145 0.155
0.105 0.230 0.783
0.416 0.911 0.876
0.588 0.394 0.866
0.916 0.089 0.624
0.608 0.782 0.047
0.108 0.218 0.453
0.392 0.218 0.953
0.892 0.782 0.547
0.414 0.462 0.295
0.586 0.538 0.705
0.914 0.538 0.205
0.033 0.946 0.212
0.967 0.054 0.788
0.086 0.462 0.795
0.533 0.054 0.288
0.467 0.946 0.712
0.723 0.281 0.503
0.277 0.719 0.497
0.777 0.281 0.003
0.223 0.719 0.997
```

Properties
**Energy**: -304.67 eV per cell
**Energy of formation from the pure elements**: -2643 kJ/mol of formula units
**Space group**: P2_1/c (14)
**M_tot**: 20.0 μB/cell
**Offset from the most stable computed form**: 36 meV per atom

> energy of formation from the pure elements of number 2 (LiFePO4)?

-1618 kJ/mol of formula units